Entry 1:
A plane-wave DFT calculation with PBE-GGA was carried out for a relaxed Nd4Rh6Pb19 crystal.

For the electronic total energy, the calculation gives -4.62 eV/atom. The energy of formation from the pure elements comes out at -0.2 kcal/mol of atoms.

The structure belongs to space group I23 (No. 197); the cell edges are 11.875, 11.875 and 11.875 Å and the angles 90.00°, 90.00° and 90.00°. The distinct sites, in fractional coordinates, are Nd at (0.170, 0.170, 0.830), Rh at (0.000, 0.379, 0.500), Pb at (0.000, 0.000, 0.000), Pb at (0.000, 0.000, 0.307) and Pb at (0.051, 0.321, 0.281).


Entry 2:
A plane-wave DFT calculation with PBE-GGA was carried out for a relaxed Mo2N3Cl9 crystal.

For the electronic total energy, the calculation gives -4.05 eV/atom. The energy of formation from the pure elements comes out at 1.7 kcal/mol of atoms.

The structure belongs to space group P6_3/mmc (No. 194); the cell edges are 7.2571, 7.2571 and 17.1285 Å and the angles 90.00°, 90.00° and 120.00°. The distinct sites, in fractional coordinates, are Mo at (0.3333, 0.6667, 0.1689), N at (0.0000, 0.0000, 0.2500), N at (0.3333, 0.6667, 0.5706), Cl at (0.0073, 0.5036, 0.2500) and Cl at (0.1801, 0.3603, 0.0966).